[1]
# ZnGaNi2

ZnGaNi2 after structural relaxation (r2SCAN, the Materials Project).

Lattice parameters (Å, degrees): 4.0505 4.0505 4.0505 60.00 60.00 60.00
Fractional positions:
Ni (0.2500, 0.2500, 0.2500)
Ni (0.7500, 0.7500, 0.7500)
Ga (0.5000, 0.5000, 0.5000)
Zn (0.0000, 0.0000, 0.0000)



[2]
# AlV12Ge3

AlV12Ge3 after structural relaxation (r2SCAN, the Materials Project).

Lattice parameters (Å, degrees): 4.7535 4.7539 9.4942 90.00 90.00 90.00
Fractional positions:
V (0.2496, 0.5000, 0.2486)
V (0.5000, 0.0000, 0.3752)
V (0.0000, 0.7494, 0.0000)
V (0.5000, 0.0000, 0.8749)
V (0.5000, 0.0000, 0.1251)
V (0.0000, 0.2506, 0.0000)
V (0.0000, 0.7494, 0.5000)
V (0.2496, 0.5000, 0.7514)
V (0.7504, 0.5000, 0.7514)
V (0.7504, 0.5000, 0.2486)
V (0.0000, 0.2506, 0.5000)
V (0.5000, 0.0000, 0.6248)
Al (0.5000, 0.5000, 0.5000)
Ge (0.0000, 0.0000, 0.2492)
Ge (0.0000, 0.0000, 0.7508)
Ge (0.5000, 0.5000, 0.0000)



[3]
# Sr10P6SO24

Sr10P6SO24 after structural relaxation (r2SCAN, the Materials Project).

Lattice parameters (Å, degrees): 9.8193 9.8193 7.2151 90.00 90.00 120.00
Fractional positions:
O (0.3108, 0.2458, 0.0947)
O (0.8501, 0.3294, 0.7383)
O (0.1499, 0.6706, 0.2617)
O (0.5358, 0.1124, 0.2055)
O (0.3811, 0.2813, 0.4301)
O (0.1124, 0.5767, 0.7945)
O (0.3294, 0.4793, 0.2617)
O (0.9350, 0.6892, 0.0947)
O (0.0650, 0.3108, 0.9053)
O (0.6892, 0.7542, 0.9053)
O (0.4793, 0.1499, 0.7383)
O (0.0997, 0.3811, 0.5699)
O (0.4642, 0.8876, 0.7945)
O (0.2458, 0.9350, 0.9053)
O (0.7542, 0.0650, 0.0947)
O (0.4233, 0.5358, 0.7945)
O (0.6189, 0.7187, 0.5699)
O (0.7187, 0.0997, 0.4301)
O (0.5767, 0.4642, 0.2055)
O (0.8876, 0.4233, 0.2055)
O (0.6706, 0.5207, 0.7383)
O (0.9003, 0.6189, 0.4301)
O (0.2813, 0.9003, 0.5699)
O (0.5207, 0.8501, 0.2617)
Sr (0.3333, 0.6667, 0.0215)
Sr (0.7420, 0.7557, 0.2581)
Sr (0.9863, 0.7420, 0.7419)
Sr (0.2443, 0.9863, 0.2581)
Sr (0.7557, 0.0137, 0.7419)
Sr (0.6667, 0.3333, 0.4807)
Sr (0.2580, 0.2443, 0.7419)
Sr (0.3333, 0.6667, 0.5193)
Sr (0.6667, 0.3333, 0.9785)
Sr (0.0137, 0.2580, 0.2581)
P (0.6308, 0.0294, 0.2472)
P (0.6015, 0.6308, 0.7528)
P (0.3985, 0.3692, 0.2472)
P (0.9706, 0.6015, 0.2472)
P (0.0294, 0.3985, 0.7528)
P (0.3692, 0.9706, 0.7528)
S (0.0000, 0.0000, 0.5000)



[4]
# Te

Te after structural relaxation (r2SCAN, the Materials Project).

Lattice parameters (Å, degrees): 3.1565 4.4775 9.1654 90.00 90.00 90.00
Fractional positions:
Te (0.5000, 0.9973, 0.5101)
Te (0.5000, 0.4952, 0.2599)
Te (0.5000, 0.5048, 0.7599)
Te (0.5000, 0.0027, 0.0101)

Calculated values
E above lowest polymorph   0.0788 eV/atom



[5]
# Cs3BO3

Cs3BO3 after structural relaxation (r2SCAN, the Materials Project).

Lattice parameters (Å, degrees): 10.4721 11.0167 11.0712 90.00 90.00 90.00
Fractional positions:
O (0.1164, 0.1977, 0.4915)
O (0.6162, 0.9927, 0.8029)
O (0.3838, 0.5073, 0.3029)
O (0.6162, 0.5073, 0.3029)
O (0.0000, 0.3345, 0.6212)
O (0.3838, 0.9927, 0.8029)
O (0.6162, 0.4927, 0.6971)
O (0.8836, 0.3023, 0.9915)
O (0.8836, 0.6977, 0.0085)
O (0.5000, 0.8797, 0.3362)
O (0.3838, 0.0073, 0.1971)
O (0.8836, 0.8023, 0.5085)
O (0.0000, 0.6655, 0.3788)
O (0.5000, 0.3797, 0.1638)
O (0.1164, 0.3023, 0.9915)
O (0.1164, 0.6977, 0.0085)
O (0.3838, 0.4927, 0.6971)
O (0.1164, 0.8023, 0.5085)
O (0.5000, 0.6203, 0.8362)
O (0.8836, 0.1977, 0.4915)
O (0.6162, 0.0073, 0.1971)
O (0.0000, 0.1655, 0.1212)
O (0.5000, 0.1203, 0.6638)
O (0.0000, 0.8345, 0.8788)
B (0.5000, 0.0340, 0.7556)
B (0.5000, 0.5340, 0.7444)
B (0.5000, 0.9660, 0.2444)
B (0.0000, 0.2441, 0.5334)
B (0.5000, 0.4660, 0.2556)
B (0.0000, 0.2559, 0.0334)
B (0.0000, 0.7559, 0.4666)
B (0.0000, 0.7441, 0.9666)
Cs (0.5000, 0.3304, 0.5150)
Cs (0.0000, 0.5188, 0.1697)
Cs (0.5000, 0.1696, 0.0150)
Cs (0.5000, 0.6696, 0.4850)
Cs (0.8160, 0.5000, 0.5000)
Cs (0.3155, 0.0000, 0.5000)
Cs (0.0000, 0.9812, 0.6697)
Cs (0.2493, 0.7533, 0.2560)
Cs (0.2493, 0.2467, 0.7440)
Cs (0.8160, 0.0000, 0.0000)
Cs (0.7507, 0.7467, 0.7560)
Cs (0.2493, 0.2533, 0.2440)
Cs (0.7507, 0.2467, 0.7440)
Cs (0.7507, 0.7533, 0.2560)
Cs (0.0000, 0.0188, 0.3303)
Cs (0.5000, 0.8304, 0.9850)
Cs (0.0000, 0.4812, 0.8303)
Cs (0.6845, 0.5000, 0.0000)
Cs (0.1840, 0.5000, 0.5000)
Cs (0.2493, 0.7467, 0.7560)
Cs (0.7507, 0.2533, 0.2440)
Cs (0.3155, 0.5000, 0.0000)
Cs (0.6845, 0.0000, 0.5000)
Cs (0.1840, 0.0000, 0.0000)



[6]
# YbTmS2

YbTmS2 after structural relaxation (r2SCAN, the Materials Project).

Lattice parameters (Å, degrees): 6.6366 6.6366 6.6366 33.31 33.31 33.31
Fractional positions:
S (0.2506, 0.2506, 0.2506)
S (0.7494, 0.7494, 0.7494)
Tm (0.5000, 0.5000, 0.5000)
Yb (0.0000, 0.0000, 0.0000)



no.,E_form (meV/atom),magnetic moment (μB/f.u.)
1,-328.6,0.00
2,-324.6,4.08
3,-3143.0,0.00
4,78.8,0.00
5,-2039.6,0.00
6,-2168.8,0.00